# Rb7NaGe8 (GGA-PBE, relaxed)
# * formation energy from the elements: -205 meV/atom
# * VASP energy: -0.223 Ry per atom
data_Rb7NaGe8
_chemical_formula_sum 'Rb28 Na4 Ge32'
_space_group_name_H-M_alt 'P a -3'
_space_group_IT_number 205
_space_group_name_Hall '-P 2ac 2ab 3'
_cell_length_a 13.3643
_cell_length_b 13.3643
_cell_length_c 13.3643
_cell_angle_alpha 90.00
_cell_angle_beta 90.00
_cell_angle_gamma 90.00
loop_
_atom_site_label
_atom_site_type_symbol
_atom_site_fract_x
_atom_site_fract_y
_atom_site_fract_z
Rb1 Rb 0.0000 0.0000 0.0000
Rb2 Rb 0.0415 0.2271 0.3132
Na1 Na 0.0000 0.0000 0.5000
Ge1 Ge 0.0568 0.7054 0.9257
Ge2 Ge 0.2014 0.7014 0.7986



# NaSm3GeS7 (GGA-PBE, relaxed)
# * formation energy from the elements: -1814 meV/atom
# * VASP energy: -0.412 Ry per atom
data_NaSm3GeS7
_chemical_formula_sum 'Na2 Sm6 Ge2 S14'
_space_group_name_H-M_alt 'P 63'
_space_group_IT_number 173
_space_group_name_Hall 'P 6c'
_cell_length_a 10.1498
_cell_length_b 10.1498
_cell_length_c 5.8728
_cell_angle_alpha 90.00
_cell_angle_beta 90.00
_cell_angle_gamma 120.00
loop_
_atom_site_label
_atom_site_type_symbol
_atom_site_fract_x
_atom_site_fract_y
_atom_site_fract_z
Na1 Na 0.0000 0.0000 0.0000
Sm1 Sm 0.1332 0.3613 0.2776
Ge1 Ge 0.3333 0.6667 0.8594
S1 S 0.0977 0.2601 0.7441
S2 S 0.1029 0.5824 0.0169
S3 S 0.3333 0.6667 0.4824



# Na2ZnGe2S6 (GGA-PBE, relaxed)
# * formation energy from the elements: -983 meV/atom
# * VASP energy: -0.306 Ry per atom
data_Na2ZnGe2S6
_chemical_formula_sum 'Na8 Zn4 Ge8 S24'
_space_group_name_H-M_alt 'C 1 c 1'
_space_group_IT_number 9
_space_group_name_Hall 'C -2yc'
_cell_length_a 7.4102
_cell_length_b 12.5514
_cell_length_c 11.6534
_cell_angle_alpha 90.00
_cell_angle_beta 100.77
_cell_angle_gamma 90.00
loop_
_atom_site_label
_atom_site_type_symbol
_atom_site_fract_x
_atom_site_fract_y
_atom_site_fract_z
Na1 Na 0.0000 0.0100 0.0000
Na2 Na 0.1061 0.3001 0.6324
Zn1 Zn 0.1656 0.2440 0.2963
Ge1 Ge 0.0422 0.3583 0.0196
Ge2 Ge 0.3704 0.0234 0.7694
S1 S 0.1087 0.0587 0.2773
S2 S 0.1271 0.4307 0.8583
S3 S 0.2942 0.3319 0.1493
S4 S 0.3587 0.2807 0.4779
S5 S 0.3718 0.1917 0.8184
S6 S 0.3917 0.0023 0.0782



# Na2Ge2Se5 (GGA-PBE, relaxed)
# * formation energy from the elements: -860 meV/atom
# * VASP energy: -0.284 Ry per atom
data_Na2Ge2Se5
_chemical_formula_sum 'Na16 Ge16 Se40'
_space_group_name_H-M_alt 'C m c m'
_space_group_IT_number 63
_space_group_name_Hall '-C 2c 2'
_cell_length_a 13.5203
_cell_length_b 13.8147
_cell_length_c 11.2660
_cell_angle_alpha 90.00
_cell_angle_beta 90.00
_cell_angle_gamma 90.00
loop_
_atom_site_label
_atom_site_type_symbol
_atom_site_fract_x
_atom_site_fract_y
_atom_site_fract_z
Na1 Na 0.1450 0.0000 0.0000
Na2 Na 0.1743 0.2498 0.2500
Ge1 Ge 0.0000 0.2552 0.5801
Ge2 Ge 0.1400 0.4536 0.7500
Se1 Se 0.0000 0.1502 0.7500
Se2 Se 0.0000 0.1569 0.0874
Se3 Se 0.0000 0.4419 0.2500
Se4 Se 0.1492 0.3513 0.5760
Se5 Se 0.2187 0.0490 0.7500



# Na4Ge2Se5 (GGA-PBE, relaxed)
# * formation energy from the elements: -1022 meV/atom
# * VASP energy: -0.273 Ry per atom
data_Na4Ge2Se5
_chemical_formula_sum 'Na8 Ge4 Se10'
_space_group_name_H-M_alt 'P -1'
_space_group_IT_number 2
_space_group_name_Hall '-P 1'
_cell_length_a 7.1673
_cell_length_b 8.2295
_cell_length_c 10.8191
_cell_angle_alpha 73.51
_cell_angle_beta 70.77
_cell_angle_gamma 81.73
loop_
_atom_site_label
_atom_site_type_symbol
_atom_site_fract_x
_atom_site_fract_y
_atom_site_fract_z
Na1 Na 0.0000 0.0000 0.0000
Na2 Na 0.0904 0.4787 0.3168
Na3 Na 0.2058 0.0009 0.5942
Na4 Na 0.2729 0.4907 0.8965
Na5 Na 0.5000 0.5000 0.5000
Ge1 Ge 0.3827 0.1580 0.1662
Ge2 Ge 0.4252 0.8449 0.2298
Se1 Se 0.0596 0.2467 0.1548
Se2 Se 0.1633 0.7501 0.4288
Se3 Se 0.2596 0.2465 0.7446
Se4 Se 0.3569 0.7451 0.0527
Se5 Se 0.4640 0.2547 0.3262



# Na2GeSe3 (GGA-PBE, relaxed)
# * formation energy from the elements: -994 meV/atom
# * VASP energy: -0.273 Ry per atom
data_Na2GeSe3
_chemical_formula_sum 'Na8 Ge4 Se12'
_space_group_name_H-M_alt 'P 1 21/c 1'
_space_group_IT_number 14
_space_group_name_Hall '-P 2ybc'
_cell_length_a 7.1976
_cell_length_b 16.4128
_cell_length_c 6.1580
_cell_angle_alpha 90.00
_cell_angle_beta 113.81
_cell_angle_gamma 90.00
loop_
_atom_site_label
_atom_site_type_symbol
_atom_site_fract_x
_atom_site_fract_y
_atom_site_fract_z
Na1 Na 0.0707 0.1671 0.0298
Na2 Na 0.2846 0.5238 0.1674
Ge1 Ge 0.4716 0.1702 0.6600
Se1 Se 0.1237 0.1470 0.5556
Se2 Se 0.3039 0.5619 0.6628
Se3 Se 0.4418 0.6934 0.1782



# Na4Ge2Se5 (GGA-PBE, relaxed)
# * formation energy from the elements: -1020 meV/atom
# * VASP energy: -0.273 Ry per atom
data_Na4Ge2Se5
_chemical_formula_sum 'Na32 Ge16 Se40'
_space_group_name_H-M_alt 'P 1 21/c 1'
_space_group_IT_number 14
_space_group_name_Hall '-P 2ybc'
_cell_length_a 13.3041
_cell_length_b 12.2087
_cell_length_c 14.3494
_cell_angle_alpha 90.00
_cell_angle_beta 92.74
_cell_angle_gamma 90.00
loop_
_atom_site_label
_atom_site_type_symbol
_atom_site_fract_x
_atom_site_fract_y
_atom_site_fract_z
Na1 Na 0.0125 0.1609 0.2315
Na2 Na 0.0890 0.1210 0.9490
Na3 Na 0.0948 0.6192 0.9411
Na4 Na 0.1969 0.5894 0.6452
Na5 Na 0.2932 0.1429 0.3430
Na6 Na 0.3874 0.6345 0.0369
Na7 Na 0.4235 0.1342 0.0717
Na8 Na 0.4860 0.0902 0.7311
Ge1 Ge 0.1728 0.0519 0.7122
Ge2 Ge 0.2229 0.1653 0.5783
Ge3 Ge 0.2775 0.5912 0.4197
Ge4 Ge 0.3231 0.7022 0.2858
Se1 Se 0.0054 0.0894 0.7486
Se2 Se 0.1038 0.1312 0.4537
Se3 Se 0.1097 0.6294 0.4552
Se4 Se 0.1919 0.6427 0.1673
Se5 Se 0.2121 0.1547 0.1414
Se6 Se 0.2893 0.0923 0.8462
Se7 Se 0.2987 0.6142 0.8320
Se8 Se 0.3879 0.1190 0.5370
Se9 Se 0.3931 0.6140 0.5462
Se10 Se 0.4843 0.6612 0.2343



# Na6Ge2Se7 (GGA-PBE, relaxed)
# * formation energy from the elements: -1064 meV/atom
# * VASP energy: -0.266 Ry per atom
data_Na6Ge2Se7
_chemical_formula_sum 'Na24 Ge8 Se28'
_space_group_name_H-M_alt 'C 1 2/c 1'
_space_group_IT_number 15
_space_group_name_Hall '-C 2yc'
_cell_length_a 9.5503
_cell_length_b 11.0890
_cell_length_c 16.0827
_cell_angle_alpha 90.00
_cell_angle_beta 104.24
_cell_angle_gamma 90.00
loop_
_atom_site_label
_atom_site_type_symbol
_atom_site_fract_x
_atom_site_fract_y
_atom_site_fract_z
Na1 Na 0.0000 0.0000 0.0000
Na2 Na 0.0000 0.0802 0.2500
Na3 Na 0.1163 0.3529 0.5713
Na4 Na 0.2316 0.2233 0.8587
Ge1 Ge 0.1583 0.4177 0.3602
Se1 Se 0.0000 0.4606 0.7500
Se2 Se 0.0511 0.2388 0.3956
Se3 Se 0.1240 0.1279 0.6798
Se4 Se 0.1968 0.4335 0.9711



# Na2Ge2Se5 (GGA-PBE, relaxed)
# * formation energy from the elements: -867 meV/atom
# * VASP energy: -0.284 Ry per atom
data_Na2Ge2Se5
_chemical_formula_sum 'Na8 Ge8 Se20'
_space_group_name_H-M_alt 'P n a 21'
_space_group_IT_number 33
_space_group_name_Hall 'P 2c -2n'
_cell_length_a 14.4240
_cell_length_b 6.2755
_cell_length_c 11.3375
_cell_angle_alpha 90.00
_cell_angle_beta 90.00
_cell_angle_gamma 90.00
loop_
_atom_site_label
_atom_site_type_symbol
_atom_site_fract_x
_atom_site_fract_y
_atom_site_fract_z
Na1 Na 0.0373 0.0029 0.0000
Na2 Na 0.0567 0.5072 0.7445
Ge1 Ge 0.1550 0.4589 0.4518
Ge2 Ge 0.2051 0.9671 0.6445
Se1 Se 0.0017 0.5021 0.9940
Se2 Se 0.0614 0.0040 0.7330
Se3 Se 0.1643 0.6056 0.2547
Se4 Se 0.2159 0.1007 0.4439
Se5 Se 0.2445 0.1025 0.1047



# Na9SmGe4Se12 (GGA-PBE, relaxed)
# * formation energy from the elements: -1161 meV/atom
# * VASP energy: -0.287 Ry per atom
data_Na9SmGe4Se12
_chemical_formula_sum 'Na18 Sm2 Ge8 Se24'
_space_group_name_H-M_alt 'C 1 2 1'
_space_group_IT_number 5
_space_group_name_Hall 'C 2y'
_cell_length_a 14.3136
_cell_length_b 12.4310
_cell_length_c 8.0129
_cell_angle_alpha 90.00
_cell_angle_beta 105.34
_cell_angle_gamma 90.00
loop_
_atom_site_label
_atom_site_type_symbol
_atom_site_fract_x
_atom_site_fract_y
_atom_site_fract_z
Na1 Na 0.0000 0.0000 0.0000
Na2 Na 0.0000 0.1406 0.5000
Na3 Na 0.0000 0.4934 0.5000
Na4 Na 0.2468 0.1643 0.2475
Na5 Na 0.2475 0.3188 0.7469
Na6 Na 0.2490 0.9708 0.7476
Sm1 Sm 0.0000 0.6400 0.0000
Ge1 Ge 0.0269 0.3150 0.8668
Ge2 Ge 0.0314 0.8205 0.3697
Se1 Se 0.1099 0.8110 0.8736
Se2 Se 0.1136 0.3198 0.3704
Se3 Se 0.1225 0.4810 0.8832
Se4 Se 0.1223 0.6578 0.3620
Se5 Se 0.1267 0.9758 0.3760
Se6 Se 0.1282 0.1620 0.8759



What did the second record say?
# NaSm3GeS7 (GGA-PBE, relaxed)
# * formation energy from the elements: -1814 meV/atom
# * VASP energy: -0.412 Ry per atom
data_NaSm3GeS7
_chemical_formula_sum 'Na2 Sm6 Ge2 S14'
_space_group_name_H-M_alt 'P 63'
_space_group_IT_number 173
_space_group_name_Hall 'P 6c'
_cell_length_a 10.1498
_cell_length_b 10.1498
_cell_length_c 5.8728
_cell_angle_alpha 90.00
_cell_angle_beta 90.00
_cell_angle_gamma 120.00
loop_
_atom_site_label
_atom_site_type_symbol
_atom_site_fract_x
_atom_site_fract_y
_atom_site_fract_z
Na1 Na 0.0000 0.0000 0.0000
Sm1 Sm 0.1332 0.3613 0.2776
Ge1 Ge 0.3333 0.6667 0.8594
S1 S 0.0977 0.2601 0.7441
S2 S 0.1029 0.5824 0.0169
S3 S 0.3333 0.6667 0.4824



Question: What is the VASP energy in the second record?
Answer: -0.412 Ry per atom



Question: Which formula does entry 9 have?
Answer: Na2Ge2Se5



Question: formation energy from the elements of number 2 (NaSm3GeS7)?
Answer: -1814 meV/atom